Crystalline Li3MnCoO5 at its relaxed geometry, computed with GGA+U.

Unit cell a=2.9024 b=5.1220 c=12.1340 alpha=94.28 beta=95.29 gamma=90.44
Last column: nearest neighbours and their distance in Å.
Atoms (fractional coordinates):
Li  0.0000  0.0000  0.0000  6 O 2.06-2.13
Li  0.0923  0.7043  0.1936  6 O 2.00-2.23
Li  0.3018  0.1043  0.5992  6 O 2.11-2.26
Li  0.5000  0.5000  0.0000  6 O 2.16-2.25
Li  0.6982  0.8957  0.4008  6 O 2.11-2.26
Li  0.9077  0.2957  0.8064  6 O 2.00-2.23
Mn  0.4095  0.8149  0.8069  5 O 1.82-1.99
Mn  0.5905  0.1851  0.1931  5 O 1.82-1.99
Co  0.1926  0.4002  0.3990  6 O 1.92-2.09
Co  0.8074  0.5998  0.6010  6 O 1.92-2.09
O  0.0591  0.3343  0.1119  2 Mn 1.94-1.95, 3 Li 2.07-2.16
O  0.1284  0.0677  0.2902  2 Mn 1.98-1.99, 1 Co 2.07, 2 Li 2.12-2.15
O  0.2397  0.7377  0.5048  3 Co 1.95-2.09, 3 Li 2.11-2.13
O  0.3743  0.4788  0.6965  2 Co 1.92-2.05, 1 Mn 2.10
O  0.4434  0.1252  0.8907  1 Mn 1.82, 2 Li 2.00-2.02
O  0.5566  0.8748  0.1093  1 Mn 1.82, 2 Li 2.00-2.02
O  0.6257  0.5212  0.3035  2 Co 1.92-2.05, 1 Mn 2.10
O  0.7603  0.2623  0.4952  3 Co 1.95-2.09, 3 Li 2.11-2.13
O  0.8716  0.9323  0.7098  2 Mn 1.98-1.99, 1 Co 2.07, 2 Li 2.12-2.15
O  0.9409  0.6657  0.8881  2 Mn 1.94-1.95, 3 Li 2.07-2.16

MP2020-corrected energy	-132.164	eV per cell
formation energy from the elements	-1.93	eV/atom